# Tb4Ga16Co3 | the Materials Project database | meta-GGA r2SCAN | relaxed
# * V: 393.0 Å³ per cell
# * calculated formation energy: -1183 kJ/mol of formula units
data_Tb4Ga16Co3
_cell_length_a 5.975
_cell_length_b 5.975
_cell_length_c 11.008
_cell_angle_alpha 90.00
_cell_angle_beta 90.00
_cell_angle_gamma 90.00
_symmetry_space_group_name_H-M 'P 4/m m m'
_symmetry_Int_Tables_number 123
_symmetry_space_group_name_Hall '-P 4 2'
loop_
_atom_site_label
_atom_site_fract_x
_atom_site_fract_y
_atom_site_fract_z
_atom_site_occupancy
Tb1 0.000 0.500 0.195 1
Ga1 0.000 0.000 0.194 1
Ga2 0.219 0.219 0.000 1
Ga3 0.251 0.251 0.385 1
Ga4 0.500 0.500 0.219 1
Co1 0.000 0.500 0.500 1
Co2 0.500 0.500 0.000 1



# Hf5GaSn3 | the Materials Project database | meta-GGA r2SCAN | relaxed
# * V: 370.3 Å³ per cell
# * calculated formation energy: -463 kJ/mol of formula units
data_Hf5GaSn3
_cell_length_a 8.5856
_cell_length_b 8.5856
_cell_length_c 5.8002
_cell_angle_alpha 90.00
_cell_angle_beta 90.00
_cell_angle_gamma 120.00
_symmetry_space_group_name_H-M 'P 63/m c m'
_symmetry_Int_Tables_number 193
_symmetry_space_group_name_Hall '-P 6c 2'
loop_
_atom_site_label
_atom_site_fract_x
_atom_site_fract_y
_atom_site_fract_z
_atom_site_occupancy
Hf1 0.0000 0.2650 0.2500 1
Hf2 0.3333 0.6667 0.0000 1
Ga1 0.0000 0.0000 0.0000 1
Sn1 0.0000 0.3896 0.7500 1



# LaCo2Ge2 | the Materials Project database | meta-GGA r2SCAN | relaxed
# * V: 172.4 Å³ per cell
# * calculated formation energy: -266 kJ/mol of formula units
data_LaCo2Ge2
_cell_length_a 4.165
_cell_length_b 4.165
_cell_length_c 9.936
_cell_angle_alpha 90.00
_cell_angle_beta 90.00
_cell_angle_gamma 90.00
_symmetry_space_group_name_H-M 'I 4/m m m'
_symmetry_Int_Tables_number 139
_symmetry_space_group_name_Hall '-I 4 2'
loop_
_atom_site_label
_atom_site_fract_x
_atom_site_fract_y
_atom_site_fract_z
_atom_site_occupancy
La1 0.000 0.000 0.000 1
Co1 0.000 0.500 0.250 1
Ge1 0.000 0.000 0.358 1



# K2SnS3 | the Materials Project database | meta-GGA r2SCAN | relaxed
# * V: 364.2 Å³ per cell
# * calculated formation energy: -627 kJ/mol of formula units
data_K2SnS3
_cell_length_a 6.772
_cell_length_b 7.485
_cell_length_c 8.260
_cell_angle_alpha 75.60
_cell_angle_beta 73.06
_cell_angle_gamma 66.94
_symmetry_space_group_name_H-M 'P -1'
_symmetry_Int_Tables_number 2
loop_
_symmetry_equiv_pos_as_xyz
'x,y,z'
'-x,-y,-z'
loop_
_atom_site_label
_atom_site_fract_x
_atom_site_fract_y
_atom_site_fract_z
_atom_site_occupancy
K1 0.089 0.208 0.125 1
K2 0.351 0.539 0.307 1
Sn1 0.354 0.065 0.694 1
S1 0.155 0.396 0.720 1
S2 0.273 0.953 0.468 1
S3 0.366 0.818 0.933 1



# Cs6Ho21S34Cl | the Materials Project database | meta-GGA r2SCAN | relaxed
# * V: 3394.3 Å³ per cell
# * calculated formation energy: -13951 kJ/mol of formula units
data_Cs6Ho21S34Cl
_cell_length_a 17.155
_cell_length_b 19.511
_cell_length_c 12.996
_cell_angle_alpha 90.00
_cell_angle_beta 128.71
_cell_angle_gamma 90.00
_symmetry_space_group_name_H-M 'C 1 2/m 1'
_symmetry_Int_Tables_number 12
loop_
_symmetry_equiv_pos_as_xyz
'x,y,z'
'-x,-y,-z'
'-x,y,-z'
'x,-y,z'
'x+1/2,y+1/2,z'
'-x+1/2,-y+1/2,-z'
'-x+1/2,y+1/2,-z'
'x+1/2,-y+1/2,z'
loop_
_atom_site_label
_atom_site_fract_x
_atom_site_fract_y
_atom_site_fract_z
_atom_site_occupancy
Cs1 0.071 0.123 0.230 1
Cs2 0.232 0.000 0.085 1
Ho1 0.000 0.100 0.500 1
Ho2 0.000 0.301 0.500 1
Ho3 0.000 0.400 0.000 1
Ho4 0.000 0.500 0.500 1
Ho5 0.128 0.299 0.877 1
Ho6 0.137 0.398 0.394 1
Ho7 0.243 0.000 0.757 1
Ho8 0.246 0.291 0.252 1
S1 0.050 0.399 0.680 1
S2 0.059 0.000 0.679 1
S3 0.061 0.307 0.189 1
S4 0.070 0.203 0.686 1
S5 0.074 0.500 0.192 1
S6 0.182 0.396 0.063 1
S7 0.183 0.500 0.559 1
S8 0.184 0.302 0.564 1
S9 0.190 0.100 0.577 1
S10 0.190 0.202 0.058 1
Cl1 0.000 0.000 0.000 1



# HoAsSe | the Materials Project database | meta-GGA r2SCAN | relaxed
# * V: 265.1 Å³ per cell
# * calculated formation energy: -475 kJ/mol of formula units
data_HoAsSe
_cell_length_a 17.401
_cell_length_b 3.879
_cell_length_c 3.928
_cell_angle_alpha 90.00
_cell_angle_beta 90.00
_cell_angle_gamma 90.00
_symmetry_space_group_name_H-M 'P n m a'
_symmetry_Int_Tables_number 62
loop_
_symmetry_equiv_pos_as_xyz
'x,y,z'
'-x,-y,-z'
'-x+1/2,-y,z+1/2'
'x+1/2,y,-z+1/2'
'x+1/2,-y+1/2,-z+1/2'
'-x+1/2,y+1/2,z+1/2'
'-x,y+1/2,-z'
'x,-y+1/2,z'
loop_
_atom_site_label
_atom_site_fract_x
_atom_site_fract_y
_atom_site_fract_z
_atom_site_occupancy
Ho1 0.140 0.250 0.231 1
As1 0.002 0.250 0.709 1
Se1 0.188 0.750 0.734 1



# Mn2AsHO5 | the Materials Project database | meta-GGA r2SCAN | relaxed
# * V: 467.8 Å³ per cell
# * calculated formation energy: -1464 kJ/mol of formula units
data_Mn2AsHO5
_cell_length_a 8.533
_cell_length_b 8.703
_cell_length_c 6.299
_cell_angle_alpha 90.00
_cell_angle_beta 90.00
_cell_angle_gamma 90.00
_symmetry_space_group_name_H-M 'P n n m'
_symmetry_Int_Tables_number 58
loop_
_symmetry_equiv_pos_as_xyz
'x,y,z'
'-x,-y,-z'
'-x,-y,z'
'x,y,-z'
'x+1/2,-y+1/2,-z+1/2'
'-x+1/2,y+1/2,z+1/2'
'-x+1/2,y+1/2,-z+1/2'
'x+1/2,-y+1/2,z+1/2'
loop_
_atom_site_label
_atom_site_fract_x
_atom_site_fract_y
_atom_site_fract_z
_atom_site_occupancy
Mn1 0.000 0.000 0.249 1
Mn2 0.141 0.368 0.000 1
As1 0.245 0.746 0.000 1
H1 0.216 0.083 0.000 1
O1 0.082 0.147 0.500 1
O2 0.104 0.608 0.000 1
O3 0.113 0.129 0.000 1
O4 0.224 0.861 0.218 1



# NpGa2 | the Materials Project database | meta-GGA r2SCAN | relaxed
# * V: 62.3 Å³ per cell
# * calculated formation energy: -140 kJ/mol of formula units
data_NpGa2
_cell_length_a 4.4456
_cell_length_b 4.4456
_cell_length_c 3.6421
_cell_angle_alpha 90.00
_cell_angle_beta 90.00
_cell_angle_gamma 120.00
_symmetry_space_group_name_H-M 'P 6/m m m'
_symmetry_Int_Tables_number 191
_symmetry_space_group_name_Hall '-P 6 2'
loop_
_atom_site_label
_atom_site_fract_x
_atom_site_fract_y
_atom_site_fract_z
_atom_site_occupancy
Np1 0.0000 0.0000 0.0000 1
Ga1 0.3333 0.6667 0.5000 1



# EuIn4Au | the Materials Project database | meta-GGA r2SCAN | relaxed
# * V: 600.7 Å³ per cell
# * calculated formation energy: -280 kJ/mol of formula units
data_EuIn4Au
_cell_length_a 4.635
_cell_length_b 17.098
_cell_length_c 7.580
_cell_angle_alpha 90.00
_cell_angle_beta 90.00
_cell_angle_gamma 90.00
_symmetry_space_group_name_H-M 'C m c m'
_symmetry_Int_Tables_number 63
_symmetry_space_group_name_Hall '-C 2c 2'
loop_
_atom_site_label
_atom_site_fract_x
_atom_site_fract_y
_atom_site_fract_z
_atom_site_occupancy
Eu1 0.000 0.125 0.250 1
In1 0.000 0.062 0.750 1
In2 0.000 0.321 0.049 1
In3 0.000 0.500 0.000 1
Au1 0.000 0.225 0.750 1



# LuSiRh | the Materials Project database | meta-GGA r2SCAN | relaxed
# * V: 204.4 Å³ per cell
# * calculated formation energy: -338 kJ/mol of formula units
data_LuSiRh
_cell_length_a 6.704
_cell_length_b 4.161
_cell_length_c 7.327
_cell_angle_alpha 90.00
_cell_angle_beta 90.00
_cell_angle_gamma 90.00
_symmetry_space_group_name_H-M 'P n m a'
_symmetry_Int_Tables_number 62
loop_
_symmetry_equiv_pos_as_xyz
'x,y,z'
'-x,-y,-z'
'-x+1/2,-y,z+1/2'
'x+1/2,y,-z+1/2'
'x+1/2,-y+1/2,-z+1/2'
'-x+1/2,y+1/2,z+1/2'
'-x,y+1/2,-z'
'x,-y+1/2,z'
loop_
_atom_site_label
_atom_site_fract_x
_atom_site_fract_y
_atom_site_fract_z
_atom_site_occupancy
Lu1 0.002 0.250 0.192 1
Si1 0.207 0.750 0.392 1
Rh1 0.155 0.250 0.566 1



# Ti2MnFe | the Materials Project database | meta-GGA r2SCAN | relaxed
# * V: 228.5 Å³ per cell
# * calculated formation energy: -71 kJ/mol of formula units
data_Ti2MnFe
_cell_length_a 6.114
_cell_length_b 6.114
_cell_length_c 6.114
_cell_angle_alpha 90.00
_cell_angle_beta 90.00
_cell_angle_gamma 90.00
_symmetry_space_group_name_H-M 'F m -3 m'
_symmetry_Int_Tables_number 225
_symmetry_space_group_name_Hall '-F 4 2 3'
loop_
_atom_site_label
_atom_site_fract_x
_atom_site_fract_y
_atom_site_fract_z
_atom_site_occupancy
Ti1 0.250 0.250 0.250 1
Mn1 0.000 0.000 0.000 1
Fe1 0.000 0.000 0.500 1



# NpFe4P12 | the Materials Project database | meta-GGA r2SCAN | relaxed
# * V: 462.2 Å³ per cell
# * calculated formation energy: -903 kJ/mol of formula units
data_NpFe4P12
_cell_length_a 7.732
_cell_length_b 7.732
_cell_length_c 7.732
_cell_angle_alpha 90.00
_cell_angle_beta 90.00
_cell_angle_gamma 90.00
_symmetry_space_group_name_H-M 'I m -3'
_symmetry_Int_Tables_number 204
_symmetry_space_group_name_Hall '-I 2 2 3'
loop_
_atom_site_label
_atom_site_fract_x
_atom_site_fract_y
_atom_site_fract_z
_atom_site_occupancy
Np1 0.000 0.000 0.000 1
Fe1 0.250 0.250 0.250 1
P1 0.000 0.350 0.151 1



# HoCuS2 | the Materials Project database | meta-GGA r2SCAN | relaxed
# * V: 325.6 Å³ per cell
# * calculated formation energy: -614 kJ/mol of formula units
data_HoCuS2
_cell_length_a 13.316
_cell_length_b 3.925
_cell_length_c 6.230
_cell_angle_alpha 90.00
_cell_angle_beta 90.00
_cell_angle_gamma 90.00
_symmetry_space_group_name_H-M 'P n m a'
_symmetry_Int_Tables_number 62
loop_
_symmetry_equiv_pos_as_xyz
'x,y,z'
'-x,-y,-z'
'-x+1/2,-y,z+1/2'
'x+1/2,y,-z+1/2'
'x+1/2,-y+1/2,-z+1/2'
'-x+1/2,y+1/2,z+1/2'
'-x,y+1/2,-z'
'x,-y+1/2,z'
loop_
_atom_site_label
_atom_site_fract_x
_atom_site_fract_y
_atom_site_fract_z
_atom_site_occupancy
Ho1 0.134 0.250 0.000 1
Cu1 0.043 0.750 0.376 1
S1 0.040 0.750 0.754 1
S2 0.204 0.750 0.242 1



# HfSe4Cl6 | the Materials Project database | meta-GGA r2SCAN | relaxed
# * V: 1284.6 Å³ per cell
# * calculated formation energy: -1100 kJ/mol of formula units
data_HfSe4Cl6
_cell_length_a 10.992
_cell_length_b 10.992
_cell_length_c 10.633
_cell_angle_alpha 90.00
_cell_angle_beta 90.00
_cell_angle_gamma 90.00
_symmetry_space_group_name_H-M 'P 42/n c m'
_symmetry_Int_Tables_number 138
loop_
_symmetry_equiv_pos_as_xyz
'x,y,z'
'-x,-y,-z'
'-y+1/2,x,z+1/2'
'y+1/2,-x,-z+1/2'
'-x+1/2,-y+1/2,z'
'x+1/2,y+1/2,-z'
'y,-x+1/2,z+1/2'
'-y,x+1/2,-z+1/2'
'x+1/2,-y,-z+1/2'
'-x+1/2,y,z+1/2'
'-y,-x,-z'
'y,x,z'
'-x,y+1/2,-z+1/2'
'x,-y+1/2,z+1/2'
'y+1/2,x+1/2,-z'
'-y+1/2,-x+1/2,z'
loop_
_atom_site_label
_atom_site_fract_x
_atom_site_fract_y
_atom_site_fract_z
_atom_site_occupancy
Hf1 0.000 0.000 0.000 1
Se1 0.091 0.091 0.422 1
Se2 0.105 0.605 0.000 1
Cl1 0.056 0.667 0.644 1
Cl2 0.134 0.134 0.113 1



# Sr2CuF6 | the Materials Project database | meta-GGA r2SCAN | relaxed
# * V: 536.4 Å³ per cell
# * calculated formation energy: -2972 kJ/mol of formula units
data_Sr2CuF6
_cell_length_a 16.412
_cell_length_b 5.719
_cell_length_c 5.715
_cell_angle_alpha 90.00
_cell_angle_beta 90.00
_cell_angle_gamma 90.00
_symmetry_space_group_name_H-M 'C m c e'
_symmetry_Int_Tables_number 64
_symmetry_space_group_name_Hall '-C 2ac 2'
loop_
_atom_site_label
_atom_site_fract_x
_atom_site_fract_y
_atom_site_fract_z
_atom_site_occupancy
Sr1 0.162 0.000 0.000 1
Cu1 0.000 0.000 0.500 1
F1 0.080 0.167 0.332 1
F2 0.250 0.244 0.750 1



# Sn | the Materials Project database | meta-GGA r2SCAN | relaxed
# * V: 54.7 Å³ per cell
# * calculated formation energy: 22 kJ/mol of formula units
# * relative energy among the computed polymorphs: 0.228 eV/atom
data_Sn
_cell_length_a 4.058
_cell_length_b 4.058
_cell_length_c 3.322
_cell_angle_alpha 90.00
_cell_angle_beta 90.00
_cell_angle_gamma 90.00
_symmetry_space_group_name_H-M 'I 4/m m m'
_symmetry_Int_Tables_number 139
_symmetry_space_group_name_Hall '-I 4 2'
loop_
_atom_site_label
_atom_site_fract_x
_atom_site_fract_y
_atom_site_fract_z
_atom_site_occupancy
Sn1 0.000 0.000 0.000 1